(1)
First-principles (meta-GGA r2SCAN) data for crystalline Te3W2Se4Cl8O2 at its relaxed geometry, as listed in Materials Project.

Geometry as CIF:
```
data_Te3W2Se4Cl8O2
_chemical_formula_sum 'Te12 W8 Se16 Cl32 O8'
_symmetry_space_group_name_H-M 'C 1 c 1'
_symmetry_Int_Tables_number 9
_symmetry_space_group_name_Hall 'C -2yc'
_cell_length_a 12.3221
_cell_length_b 10.9766
_cell_length_c 15.5901
_cell_angle_alpha 90.00
_cell_angle_beta 101.83
_cell_angle_gamma 90.00
loop_
_atom_site_label
_atom_site_fract_x
_atom_site_fract_y
_atom_site_fract_z
Te1 0.0000 0.0834 0.0000
Te2 0.0635 0.1376 0.3062
Te3 0.4433 0.3613 0.1957
W1 0.0066 0.4904 0.8607
W2 0.4987 0.0099 0.6096
Se1 0.1354 0.0476 0.7283
Se2 0.1400 0.0626 0.4659
Se3 0.3650 0.4318 0.0353
Se4 0.3705 0.4508 0.7709
Cl1 0.1063 0.3298 0.6396
Cl2 0.1156 0.3144 0.8914
Cl3 0.1585 0.3671 0.1599
Cl4 0.1669 0.3924 0.4051
Cl5 0.3382 0.1083 0.0997
Cl6 0.3456 0.1355 0.3452
Cl7 0.3905 0.1840 0.6162
Cl8 0.4004 0.1699 0.8642
O1 0.0013 0.4850 0.9975
O2 0.0029 0.4976 0.7478
```

***

(2)
First-principles (meta-GGA r2SCAN) data for crystalline SiCl2O at its relaxed geometry, as listed in Materials Project.

Geometry as CIF:
```
data_SiCl2O
_chemical_formula_sum 'Si4 Cl8 O4'
_symmetry_space_group_name_H-M 'P -1'
_symmetry_Int_Tables_number 2
_symmetry_space_group_name_Hall '-P 1'
_cell_length_a 6.1148
_cell_length_b 8.2155
_cell_length_c 8.3078
_cell_angle_alpha 77.49
_cell_angle_beta 81.05
_cell_angle_gamma 72.72
loop_
_atom_site_label
_atom_site_fract_x
_atom_site_fract_y
_atom_site_fract_z
Si1 0.0212 0.3245 0.2473
Si2 0.1077 0.6850 0.1090
Cl1 0.1270 0.1256 0.7885
Cl2 0.2530 0.6632 0.5815
Cl3 0.2833 0.1204 0.3248
Cl4 0.4243 0.7171 0.1006
O1 0.0491 0.6945 0.9249
O2 0.1012 0.4996 0.2205
```

***

(3)
First-principles (meta-GGA r2SCAN) data for crystalline SmClO at its relaxed geometry, as listed in Materials Project.

Geometry as CIF:
```
data_SmClO
_chemical_formula_sum 'Sm2 Cl2 O2'
_symmetry_space_group_name_H-M 'P 4/n m m'
_symmetry_Int_Tables_number 129
_cell_length_a 3.9884
_cell_length_b 3.9884
_cell_length_c 6.7322
_cell_angle_alpha 90.00
_cell_angle_beta 90.00
_cell_angle_gamma 90.00
loop_
_symmetry_equiv_pos_as_xyz
'x,y,z'
'-x,-y,-z'
'-y+1/2,x,z'
'y+1/2,-x,-z'
'-x+1/2,-y+1/2,z'
'x+1/2,y+1/2,-z'
'y,-x+1/2,z'
'-y,x+1/2,-z'
'x+1/2,-y,-z'
'-x+1/2,y,z'
'-y,-x,-z'
'y,x,z'
'-x,y+1/2,-z'
'x,-y+1/2,z'
'y+1/2,x+1/2,-z'
'-y+1/2,-x+1/2,z'
loop_
_atom_site_label
_atom_site_fract_x
_atom_site_fract_y
_atom_site_fract_z
Sm1 0.2500 0.2500 0.1721
Cl1 0.2500 0.2500 0.6278
O1 0.2500 0.7500 0.0000
```

***

(4)
First-principles (meta-GGA r2SCAN) data for crystalline Sr4Cl6O at its relaxed geometry, as listed in Materials Project.

Geometry as CIF:
```
data_Sr4Cl6O
_chemical_formula_sum 'Sr8 Cl12 O2'
_symmetry_space_group_name_H-M 'P 63 m c'
_symmetry_Int_Tables_number 186
_symmetry_space_group_name_Hall 'P 6c -2c'
_cell_length_a 9.5017
_cell_length_b 9.5017
_cell_length_c 7.2381
_cell_angle_alpha 90.00
_cell_angle_beta 90.00
_cell_angle_gamma 120.00
loop_
_atom_site_label
_atom_site_fract_x
_atom_site_fract_y
_atom_site_fract_z
Sr1 0.1967 0.3934 0.0000
Sr2 0.3333 0.6667 0.4311
Cl1 0.0674 0.5337 0.7123
Cl2 0.1409 0.2819 0.3907
O1 0.3333 0.6667 0.1047
```

***

(5)
First-principles (meta-GGA r2SCAN) data for crystalline TaCl3O at its relaxed geometry, as listed in Materials Project.

Geometry as CIF:
```
data_TaCl3O
_chemical_formula_sum 'Ta4 Cl12 O4'
_symmetry_space_group_name_H-M 'P 42/m n m'
_symmetry_Int_Tables_number 136
_symmetry_space_group_name_Hall '-P 4n 2n'
_cell_length_a 11.2258
_cell_length_b 11.2258
_cell_length_c 3.8094
_cell_angle_alpha 90.00
_cell_angle_beta 90.00
_cell_angle_gamma 90.00
loop_
_atom_site_label
_atom_site_fract_x
_atom_site_fract_y
_atom_site_fract_z
Ta1 0.1237 0.1237 0.0000
Cl1 0.1034 0.8966 0.0000
Cl2 0.1054 0.3255 0.0000
O1 0.1099 0.1099 0.5000
```

***

(6)
First-principles (meta-GGA r2SCAN) data for crystalline Te6Cl2O11 at its relaxed geometry, as listed in Materials Project.

Geometry as CIF:
```
data_Te6Cl2O11
_chemical_formula_sum 'Te24 Cl8 O44'
_symmetry_space_group_name_H-M 'C m c m'
_symmetry_Int_Tables_number 63
_symmetry_space_group_name_Hall '-C 2c 2'
_cell_length_a 11.8245
_cell_length_b 6.8725
_cell_length_c 15.3263
_cell_angle_alpha 90.00
_cell_angle_beta 90.00
_cell_angle_gamma 90.00
loop_
_atom_site_label
_atom_site_fract_x
_atom_site_fract_y
_atom_site_fract_z
Te1 0.0000 0.0760 0.1399
Te2 0.1562 0.3689 0.5873
Cl1 0.1621 0.2978 0.2500
O1 0.0000 0.0660 0.7500
O2 0.0000 0.4233 0.6123
O3 0.1193 0.0800 0.5947
O4 0.1522 0.3353 0.0360
```

***

(7)
First-principles (meta-GGA r2SCAN) data for crystalline Zr2Te4Cl2O11 at its relaxed geometry, as listed in Materials Project.

Geometry as CIF:
```
data_Zr2Te4Cl2O11
_chemical_formula_sum 'Zr4 Te8 Cl4 O22'
_symmetry_space_group_name_H-M 'P -1'
_symmetry_Int_Tables_number 2
_symmetry_space_group_name_Hall '-P 1'
_cell_length_a 7.8316
_cell_length_b 9.5240
_cell_length_c 10.3856
_cell_angle_alpha 111.19
_cell_angle_beta 108.06
_cell_angle_gamma 98.31
loop_
_atom_site_label
_atom_site_fract_x
_atom_site_fract_y
_atom_site_fract_z
Zr1 0.1133 0.3883 0.3818
Zr2 0.3757 0.1093 0.1092
Te1 0.0115 0.2642 0.0021
Te2 0.2130 0.0230 0.7369
Te3 0.2593 0.5094 0.7945
Te4 0.4772 0.7623 0.4686
Cl1 0.1030 0.8834 0.3711
Cl2 0.3658 0.6069 0.1052
O1 0.0623 0.8253 0.6720
O2 0.0752 0.6157 0.8322
O3 0.1141 0.4970 0.6017
O4 0.1698 0.1293 0.9169
O5 0.1777 0.9139 0.0587
O6 0.1812 0.2560 0.1769
O7 0.2834 0.5865 0.4088
O8 0.3319 0.3344 0.5121
O9 0.4091 0.0051 0.8907
O10 0.4484 0.6804 0.8436
O11 0.4940 0.1435 0.3314
```

***

(8)
First-principles (meta-GGA r2SCAN) data for crystalline TmClO at its relaxed geometry, as listed in Materials Project.

Geometry as CIF:
```
data_TmClO
_chemical_formula_sum 'Tm6 Cl6 O6'
_symmetry_space_group_name_H-M 'R -3 m'
_symmetry_Int_Tables_number 166
_symmetry_space_group_name_Hall '-R 3 2"'
_cell_length_a 3.7145
_cell_length_b 3.7145
_cell_length_c 28.1339
_cell_angle_alpha 90.00
_cell_angle_beta 90.00
_cell_angle_gamma 120.00
loop_
_atom_site_label
_atom_site_fract_x
_atom_site_fract_y
_atom_site_fract_z
Tm1 0.0000 0.0000 0.2163
Cl1 0.0000 0.0000 0.3893
O1 0.0000 0.0000 0.1370
```

***

(9)
First-principles (meta-GGA r2SCAN) data for crystalline U2Cl5O2 at its relaxed geometry, as listed in Materials Project.

Geometry as CIF:
```
data_U2Cl5O2
_chemical_formula_sum 'U4 Cl10 O4'
_symmetry_space_group_name_H-M 'C m m m'
_symmetry_Int_Tables_number 65
_symmetry_space_group_name_Hall '-C 2 2'
_cell_length_a 8.4441
_cell_length_b 13.8857
_cell_length_c 4.0928
_cell_angle_alpha 90.00
_cell_angle_beta 90.00
_cell_angle_gamma 90.00
loop_
_atom_site_label
_atom_site_fract_x
_atom_site_fract_y
_atom_site_fract_z
U1 0.0000 0.1973 0.0000
Cl1 0.0000 0.0000 0.0000
Cl2 0.1891 0.3594 0.0000
O1 0.0000 0.1979 0.5000
```

***

(10)
First-principles (meta-GGA r2SCAN) data for crystalline U5ClO12 at its relaxed geometry, as listed in Materials Project.

Geometry as CIF:
```
data_U5ClO12
_chemical_formula_sum 'U10 Cl2 O24'
_symmetry_space_group_name_H-M 'P m m a'
_symmetry_Int_Tables_number 51
_symmetry_space_group_name_Hall '-P 2a 2a'
_cell_length_a 19.6555
_cell_length_b 4.1332
_cell_length_c 7.1352
_cell_angle_alpha 90.00
_cell_angle_beta 90.00
_cell_angle_gamma 90.00
loop_
_atom_site_label
_atom_site_fract_x
_atom_site_fract_y
_atom_site_fract_z
U1 0.0701 0.0000 0.1654
U2 0.1458 0.0000 0.7085
U3 0.2500 0.0000 0.2494
Cl1 0.0000 0.0000 0.5000
O1 0.0486 0.0000 0.8727
O2 0.0700 0.5000 0.1685
O3 0.1439 0.5000 0.7096
O4 0.1479 0.0000 0.3914
O5 0.1719 0.0000 0.0208
O6 0.2500 0.0000 0.6343
O7 0.2500 0.5000 0.2520
```

***

(11)
First-principles (meta-GGA r2SCAN) data for crystalline VCl3O at its relaxed geometry, as listed in Materials Project.

Geometry as CIF:
```
data_VCl3O
_chemical_formula_sum 'V4 Cl12 O4'
_symmetry_space_group_name_H-M 'P n m a'
_symmetry_Int_Tables_number 62
_symmetry_space_group_name_Hall '-P 2ac 2n'
_cell_length_a 4.9640
_cell_length_b 9.3769
_cell_length_c 11.5330
_cell_angle_alpha 90.00
_cell_angle_beta 90.00
_cell_angle_gamma 90.00
loop_
_atom_site_label
_atom_site_fract_x
_atom_site_fract_y
_atom_site_fract_z
V1 0.1424 0.2500 0.0459
Cl1 0.2231 0.5611 0.6315
Cl2 0.2416 0.7500 0.3674
O1 0.1769 0.7500 0.9494
```

***

(12)
First-principles (meta-GGA r2SCAN) data for crystalline OsS2Cl12 at its relaxed geometry, as listed in Materials Project.

Geometry as CIF:
```
data_OsS2Cl12
_chemical_formula_sum 'Os3 S6 Cl36'
_symmetry_space_group_name_H-M 'R -3 m'
_symmetry_Int_Tables_number 166
_symmetry_space_group_name_Hall '-R 3 2"'
_cell_length_a 10.3827
_cell_length_b 10.3827
_cell_length_c 17.0072
_cell_angle_alpha 90.00
_cell_angle_beta 90.00
_cell_angle_gamma 120.00
loop_
_atom_site_label
_atom_site_fract_x
_atom_site_fract_y
_atom_site_fract_z
Os1 0.0000 0.0000 0.0000
S1 0.0000 0.0000 0.2119
Cl1 0.1000 0.2001 0.7344
Cl2 0.1065 0.2130 0.0792
```

***

For reference, formation energy by record: -0.82 -1.97 -3.39 -2.84 -1.96 -1.06 -1.94 -3.48 -2.50 -3.49 -1.54 -0.31 eV/atom.
For reference, DFT total energy by record: -16.47 -8.74 -17.35 -12.25 -16.56 -13.19 -13.79 -19.22 -25.01 -30.02 -9.24 -9.83 eV per atom.